Record 1
DFT (GGA+U) results for crystalline Tl2NiF4 at its relaxed geometry.

Values from the calculation:
DFT formation energy   -2.138 eV/atom
Energy with MP2020 corrections   -4.7323 eV/atom

Cell lengths 4.121, 4.121, 14.046 Å; angles 90.00, 90.00, 90.00 degrees
Space group I4/mmm (No. 139)
Symmetry-distinct sites (fractional):
1 Tl 0.000 0.000 0.150 (multiplicity 4)
2 Ni 0.000 0.000 0.500 (multiplicity 2)
3 F 0.000 0.000 0.356 (multiplicity 4)
4 F 0.000 0.500 0.000 (multiplicity 4)



Record 2
DFT (GGA+U) results for crystalline NiXe2F16 at its relaxed geometry.

Values from the calculation:
Magnetic moment   0.0 μB/cell
DFT formation energy   -0.982 eV/atom
Energy with MP2020 corrections   -2.9024 eV/atom

Cell lengths 11.237, 19.053, 11.449 Å; angles 90.00, 90.00, 90.00 degrees
Space group Pbca (No. 61)
Symmetry-distinct sites (fractional):
1 Ni 0.024 0.123 0.038 (multiplicity 8)
2 Xe 0.018 0.711 0.003 (multiplicity 8)
3 Xe 0.192 0.508 0.691 (multiplicity 8)
4 F 0.008 0.074 0.172 (multiplicity 8)
5 F 0.042 0.611 0.040 (multiplicity 8)
6 F 0.045 0.174 0.907 (multiplicity 8)
7 F 0.055 0.554 0.541 (multiplicity 8)
8 F 0.063 0.169 0.635 (multiplicity 8)
9 F 0.093 0.512 0.835 (multiplicity 8)
10 F 0.097 0.194 0.112 (multiplicity 8)
11 F 0.110 0.673 0.442 (multiplicity 8)
12 F 0.113 0.721 0.149 (multiplicity 8)
13 F 0.128 0.193 0.403 (multiplicity 8)
14 F 0.162 0.076 0.019 (multiplicity 8)
15 F 0.171 0.016 0.581 (multiplicity 8)
16 F 0.171 0.695 0.919 (multiplicity 8)
17 F 0.181 0.029 0.804 (multiplicity 8)
18 F 0.189 0.612 0.695 (multiplicity 8)
19 F 0.244 0.087 0.238 (multiplicity 8)



Record 3
DFT (GGA+U) results for crystalline ZnNiF5 at its relaxed geometry.

Values from the calculation:
Magnetic moment   6.0 μB/cell
DFT formation energy   -2.133 eV/atom
Polymorph energy (0 for the lowest one)   5 meV/atom
Energy with MP2020 corrections   -4.5064 eV/atom

Cell lengths 5.181, 5.181, 7.431 Å; angles 98.27, 108.36, 109.96 degrees
Space group P1 (No. 1)
Symmetry-distinct sites (fractional):
1 Zn 0.000 0.000 0.000 (multiplicity 1)
2 Zn 0.422 0.922 0.499 (multiplicity 1)
3 Ni 0.213 0.462 0.749 (multiplicity 1)
4 Ni 0.710 0.460 0.250 (multiplicity 1)
5 F 0.077 0.573 0.498 (multiplicity 1)
6 F 0.119 0.723 0.877 (multiplicity 1)
7 F 0.311 0.201 0.627 (multiplicity 1)
8 F 0.344 0.347 0.001 (multiplicity 1)
9 F 0.463 0.142 0.291 (multiplicity 1)
10 F 0.569 0.752 0.792 (multiplicity 1)
11 F 0.576 0.677 0.380 (multiplicity 1)
12 F 0.844 0.243 0.119 (multiplicity 1)
13 F 0.855 0.172 0.705 (multiplicity 1)
14 F 0.954 0.778 0.208 (multiplicity 1)



Record 4
DFT (GGA+U) results for crystalline ZnNiF5 at its relaxed geometry.

Values from the calculation:
Magnetic moment   12.0 μB/cell
DFT formation energy   -2.138 eV/atom
Polymorph energy (0 for the lowest one)   0 meV/atom
Energy with MP2020 corrections   -4.5117 eV/atom

Cell lengths 5.125, 9.631, 7.418 Å; angles 90.00, 110.74, 90.00 degrees
Space group P2_1/c (No. 14)
Symmetry-distinct sites (fractional):
1 Zn 0.032 0.015 0.259 (multiplicity 4)
2 Ni 0.394 0.249 0.602 (multiplicity 4)
3 F 0.094 0.118 0.567 (multiplicity 4)
4 F 0.138 0.109 0.991 (multiplicity 4)
5 F 0.303 0.632 0.359 (multiplicity 4)
6 F 0.346 0.183 0.340 (multiplicity 4)
7 F 0.365 0.602 0.792 (multiplicity 4)



Record 5
DFT (GGA+U) results for crystalline ZnNiF6 at its relaxed geometry.

Values from the calculation:
DFT formation energy   -1.936 eV/atom
Energy with MP2020 corrections   -4.2517 eV/atom

Cell lengths 5.1544, 5.1544, 13.1824 Å; angles 90.00, 90.00, 120.00 degrees
Space group R-3 (No. 148, hexagonal axes)
Symmetry-distinct sites (fractional):
1 Zn 0.0000 0.0000 0.0000 (multiplicity 3)
2 Ni 0.0000 0.0000 0.5000 (multiplicity 3)
3 F 0.0216 0.6093 0.2456 (multiplicity 18)



Record 6
DFT (GGA+U) results for crystalline ZrNiF6 at its relaxed geometry.

Values from the calculation:
DFT formation energy   -3.401 eV/atom
Energy with MP2020 corrections   -6.6281 eV/atom

Cell lengths 8.111, 8.111, 8.111 Å; angles 90.00, 90.00, 90.00 degrees
Space group Fm-3m (No. 225)
Symmetry-distinct sites (fractional):
1 Zr 0.000 0.000 0.000 (multiplicity 4)
2 Ni 0.000 0.000 0.500 (multiplicity 4)
3 F 0.000 0.000 0.251 (multiplicity 24)



Record 7
DFT (GGA+U) results for crystalline VPbSeO5F at its relaxed geometry.

Values from the calculation:
Magnetic moment   0.2 μB/cell
DFT formation energy   -1.961 eV/atom
Energy with MP2020 corrections   -6.7327 eV/atom

Cell lengths 8.302, 13.231, 10.010 Å; angles 90.00, 90.00, 90.00 degrees
Space group Pbca (No. 61)
Symmetry-distinct sites (fractional):
1 V 0.081 0.096 0.050 (multiplicity 8)
2 Pb 0.145 0.671 0.763 (multiplicity 8)
3 Se 0.175 0.089 0.450 (multiplicity 8)
4 O 0.045 0.518 0.626 (multiplicity 8)
5 O 0.135 0.109 0.615 (multiplicity 8)
6 O 0.138 0.651 0.433 (multiplicity 8)
7 O 0.176 0.167 0.161 (multiplicity 8)
8 O 0.229 0.541 0.947 (multiplicity 8)
9 F 0.097 0.199 0.899 (multiplicity 8)



Record 8
DFT (GGA+U) results for crystalline V3Pb5O12F at its relaxed geometry.

Values from the calculation:
Magnetic moment   0.0 μB/cell
DFT formation energy   -2.131 eV/atom
Polymorph energy (0 for the lowest one)   0 meV/atom
Energy with MP2020 corrections   -7.2314 eV/atom

Cell lengths 10.2999, 10.2999, 7.5465 Å; angles 90.00, 90.00, 120.00 degrees
Space group P6_3/m (No. 176)
Symmetry-distinct sites (fractional):
1 V 0.0283 0.6291 0.2500 (multiplicity 6)
2 Pb 0.0040 0.2466 0.2500 (multiplicity 6)
3 Pb 0.3333 0.6667 0.5072 (multiplicity 4)
4 O 0.0888 0.7477 0.0675 (multiplicity 12)
5 O 0.1230 0.5266 0.2500 (multiplicity 6)
6 O 0.1669 0.4907 0.7500 (multiplicity 6)
7 F 0.0000 0.0000 0.2500 (multiplicity 2)



Record 9
DFT (GGA+U) results for crystalline VPbOF5 at its relaxed geometry.

Values from the calculation:
Magnetic moment   0.0 μB/cell
DFT formation energy   -2.739 eV/atom
Energy with MP2020 corrections   -6.1535 eV/atom

Cell lengths 5.030, 9.993, 9.488 Å; angles 90.00, 90.00, 90.00 degrees
Space group Pbcm (No. 57)
Symmetry-distinct sites (fractional):
1 V 0.107 0.052 0.250 (multiplicity 4)
2 Pb 0.447 0.750 0.000 (multiplicity 4)
3 O 0.136 0.052 0.750 (multiplicity 4)
4 F 0.019 0.670 0.113 (multiplicity 8)
5 F 0.316 0.530 0.611 (multiplicity 8)
6 F 0.436 0.190 0.250 (multiplicity 4)